# MnH16C4N2Cl4

A relaxed structure of MnH16C4N2Cl4 (GGA-PBE, the Materials Project).

calculated volume = 11.24 Å³ per atom
ΔE_f = -538 meV per atom
E (MP2020) = -5.147 eV/atom
VASP energy = -5.0557 eV per atom
space group = Pbca

a b c (Å): 7.2829 7.4034 22.5129
angles (deg): 90.00 90.00 90.00
With the nearest neighbours (Å) after each atom.
Sites, in units of the cell vectors:
N 0.9777 0.0167 0.3966  3 H 1.04
N 0.4777 0.9833 0.1034  3 H 1.04
N 0.4777 0.4833 0.3966  3 H 1.04
N 0.0223 0.4833 0.8966  3 H 1.04
N 0.5223 0.5167 0.6034  3 H 1.04
N 0.0223 0.9833 0.6034  3 H 1.04
N 0.5223 0.0167 0.8966  3 H 1.04
N 0.9777 0.5167 0.1034  3 H 1.04
Cl 0.4807 0.9532 0.6088  2 H 2.23-2.35, 1 Mn 2.48
Cl 0.2241 0.2775 0.0133  1 H 2.20
Cl 0.4807 0.4532 0.8912  2 H 2.23-2.35, 1 Mn 2.48
Cl 0.2759 0.7775 0.9867  1 H 2.20
Cl 0.7241 0.7225 0.4867  1 H 2.20
Cl 0.9807 0.0468 0.8912  2 H 2.23-2.35, 1 Mn 2.48
Cl 0.2759 0.2775 0.5133  1 H 2.20
Cl 0.5193 0.5468 0.1088  2 H 2.23-2.35, 1 Mn 2.48
Cl 0.2241 0.7775 0.4867  1 H 2.20
Cl 0.0193 0.4532 0.3912  2 H 2.23-2.35, 1 Mn 2.48
Cl 0.7759 0.7225 0.9867  1 H 2.20
Cl 0.7241 0.2225 0.0133  1 H 2.20
Cl 0.9807 0.5468 0.6088  2 H 2.23-2.35, 1 Mn 2.48
Cl 0.7759 0.2225 0.5133  1 H 2.20
Cl 0.0193 0.9532 0.1088  2 H 2.23-2.35, 1 Mn 2.48
Cl 0.5193 0.0468 0.3912  2 H 2.23-2.35, 1 Mn 2.48
H 0.4770 0.0021 0.2562  1 C 1.10
H 0.4534 0.9459 0.9300  1 N 1.04
H 0.7112 0.5494 0.7086  1 C 1.10
H 0.5173 0.6951 0.7111  1 C 1.10
H 0.6627 0.5055 0.5962  1 N 1.04
H 0.6799 0.5481 0.3343  1 C 1.10
H 0.5230 0.4979 0.7562  1 C 1.10
H 0.0230 0.5021 0.7438  1 C 1.10
H 0.9534 0.5541 0.9300  1 N 1.04
H 0.6627 0.0055 0.9038  1 N 1.04
H 0.2112 0.4506 0.7914  1 C 1.10
H 0.1799 0.4519 0.1657  1 C 1.10
H 0.6799 0.0481 0.1657  1 C 1.10
H 0.3201 0.4519 0.6657  1 C 1.10
H 0.9534 0.0541 0.5700  1 N 1.04
H 0.5107 0.8023 0.8361  1 C 1.10
H 0.4893 0.1977 0.1639  1 C 1.10
H 0.5466 0.5541 0.4300  1 N 1.04
H 0.4534 0.4459 0.5700  1 N 1.04
H 0.4770 0.5021 0.2438  1 C 1.10
H 0.1627 0.9945 0.5962  1 N 1.04
H 0.5173 0.1951 0.7889  1 C 1.10
H 0.0107 0.1977 0.6639  1 C 1.10
H 0.9907 0.8461 0.5997  1 N 1.04
H 0.0107 0.6977 0.8361  1 C 1.10
H 0.0173 0.8049 0.7111  1 C 1.10
H 0.4907 0.6539 0.5997  1 N 1.04
H 0.0093 0.1539 0.4003  1 N 1.04
H 0.4827 0.3049 0.2889  1 C 1.10
H 0.8201 0.0481 0.6657  1 C 1.10
H 0.9893 0.8023 0.3361  1 C 1.10
H 0.9907 0.3461 0.9003  1 N 1.04
H 0.1799 0.9519 0.3343  1 C 1.10
H 0.0230 0.0021 0.7562  1 C 1.10
H 0.3201 0.9519 0.8343  1 C 1.10
H 0.5230 0.9979 0.7438  1 C 1.10
H 0.4907 0.1539 0.9003  1 N 1.04
H 0.8373 0.5055 0.0962  1 N 1.04
H 0.5466 0.0541 0.0700  1 N 1.04
H 0.0093 0.6539 0.0997  1 N 1.04
H 0.9770 0.9979 0.2438  1 C 1.10
H 0.9827 0.1951 0.2889  1 C 1.10
H 0.8201 0.5481 0.8343  1 C 1.10
H 0.4827 0.8049 0.2111  1 C 1.10
H 0.5093 0.3461 0.4003  1 N 1.04
H 0.4893 0.6977 0.3361  1 C 1.10
H 0.8373 0.0055 0.4038  1 N 1.04
H 0.1627 0.4945 0.9038  1 N 1.04
H 0.2888 0.9506 0.2086  1 C 1.10
H 0.2112 0.9506 0.7086  1 C 1.10
H 0.3373 0.4945 0.4038  1 N 1.04
H 0.0466 0.4459 0.0700  1 N 1.04
H 0.5107 0.3023 0.6639  1 C 1.10
H 0.0466 0.9459 0.4300  1 N 1.04
H 0.9893 0.3023 0.1639  1 C 1.10
H 0.2888 0.4506 0.2914  1 C 1.10
H 0.3373 0.9945 0.0962  1 N 1.04
H 0.7888 0.0494 0.2914  1 C 1.10
H 0.7112 0.0494 0.7914  1 C 1.10
H 0.0173 0.3049 0.7889  1 C 1.10
H 0.9770 0.4979 0.2562  1 C 1.10
H 0.9827 0.6951 0.2111  1 C 1.10
H 0.7888 0.5494 0.2086  1 C 1.10
H 0.5093 0.8461 0.0997  1 N 1.04
Mn 0.0000 0.0000 0.0000  6 Cl 2.48-2.64
Mn 0.5000 0.5000 0.0000  6 Cl 2.48-2.64
Mn 0.5000 0.0000 0.5000  6 Cl 2.48-2.64
Mn 0.0000 0.5000 0.5000  6 Cl 2.48-2.64
C 0.9705 0.5548 0.8368  2 H 1.10
C 0.0295 0.4452 0.1632  2 H 1.10
C 0.5295 0.0548 0.1632  2 H 1.10
C 0.5610 0.5532 0.7126  3 H 1.10
C 0.5610 0.0532 0.7874  3 H 1.10
C 0.9390 0.0532 0.2874  3 H 1.10
C 0.0295 0.9452 0.3368  2 H 1.10
C 0.4390 0.9468 0.2126  3 H 1.10
C 0.4390 0.4468 0.2874  3 H 1.10
C 0.0610 0.9468 0.7126  3 H 1.10
C 0.5295 0.5548 0.3368  2 H 1.10
C 0.9390 0.5532 0.2126  3 H 1.10
C 0.9705 0.0548 0.6632  2 H 1.10
C 0.4705 0.9452 0.8368  2 H 1.10
C 0.0610 0.4468 0.7874  3 H 1.10
C 0.4705 0.4452 0.6632  2 H 1.10